Density functional theory data (PBE) for an optimized crystal structure of Sr2CuOsO6.

Unit cell a=5.436 b=5.436 c=8.653 alpha=90.00 beta=90.00 gamma=90.00
Space group I4/m (No. 87)
Symmetry-distinct sites (fractional):
Sr  0.000  0.500  0.250 x4
Cu  0.000  0.000  0.000 x2
Os  0.000  0.000  0.500 x2
O  0.000  0.000  0.274 x4
O  0.188  0.700  0.500 x8

The magnetization comes out at 0.10 μB/atom. The formation energy is -21.5 eV per formula unit.